Entry one
Material: Fe5O7F3
Method: DFT, GGA+U
State: optimized geometry

**Magnetic moment**: 46.03 Bohr magnetons per cell
**Mass density**: 4.5 g/cm3

abc: 4.670 4.673 15.254
angles: 90.05 90.04 90.11
Space group P1 (No. 1)
Unique sites:
Fe: 0.000 0.000 0.000 (multiplicity 1)
Fe: 0.003 0.988 0.194 (multiplicity 1)
Fe: 0.014 0.984 0.388 (multiplicity 1)
Fe: 0.454 0.484 0.500 (multiplicity 1)
Fe: 0.463 0.489 0.695 (multiplicity 1)
Fe: 0.469 0.461 0.093 (multiplicity 1)
Fe: 0.472 0.452 0.294 (multiplicity 1)
Fe: 0.502 0.433 0.888 (multiplicity 1)
Fe: 0.982 0.964 0.795 (multiplicity 1)
Fe: 0.994 0.953 0.594 (multiplicity 1)
O: 0.163 0.782 0.698 (multiplicity 1)
O: 0.171 0.791 0.492 (multiplicity 1)
O: 0.182 0.780 0.096 (multiplicity 1)
O: 0.188 0.779 0.290 (multiplicity 1)
O: 0.277 0.281 0.599 (multiplicity 1)
O: 0.285 0.269 0.791 (multiplicity 1)
O: 0.297 0.291 0.397 (multiplicity 1)
O: 0.298 0.283 0.193 (multiplicity 1)
O: 0.309 0.280 0.991 (multiplicity 1)
O: 0.668 0.671 0.597 (multiplicity 1)
O: 0.677 0.660 0.793 (multiplicity 1)
O: 0.792 0.172 0.098 (multiplicity 1)
O: 0.797 0.168 0.292 (multiplicity 1)
O: 0.809 0.149 0.894 (multiplicity 1)
F: 0.195 0.765 0.897 (multiplicity 1)
F: 0.685 0.671 0.194 (multiplicity 1)
F: 0.685 0.677 0.396 (multiplicity 1)
F: 0.693 0.667 0.992 (multiplicity 1)
F: 0.778 0.169 0.693 (multiplicity 1)
F: 0.783 0.177 0.494 (multiplicity 1)

***

Entry two
Material: Fe5O7F3
Method: DFT, GGA+U
State: optimized geometry

**Magnetic moment**: 46.00 Bohr magnetons per cell
**Mass density**: 4.5 g/cm3

abc: 4.686 4.689 15.154
angles: 90.02 90.20 92.85
Space group P1 (No. 1)
Unique sites:
Fe: 0.000 0.000 0.000 (multiplicity 1)
Fe: 0.001 0.005 0.411 (multiplicity 1)
Fe: 0.003 0.998 0.198 (multiplicity 1)
Fe: 0.471 0.529 0.102 (multiplicity 1)
Fe: 0.471 0.541 0.707 (multiplicity 1)
Fe: 0.500 0.502 0.300 (multiplicity 1)
Fe: 0.508 0.507 0.497 (multiplicity 1)
Fe: 0.527 0.473 0.903 (multiplicity 1)
Fe: 0.980 0.974 0.598 (multiplicity 1)
Fe: 0.999 0.006 0.801 (multiplicity 1)
O: 0.172 0.821 0.703 (multiplicity 1)
O: 0.178 0.822 0.099 (multiplicity 1)
O: 0.193 0.800 0.503 (multiplicity 1)
O: 0.301 0.316 0.203 (multiplicity 1)
O: 0.307 0.307 0.002 (multiplicity 1)
O: 0.307 0.309 0.804 (multiplicity 1)
O: 0.309 0.309 0.396 (multiplicity 1)
O: 0.669 0.688 0.603 (multiplicity 1)
O: 0.685 0.700 0.203 (multiplicity 1)
O: 0.693 0.692 0.002 (multiplicity 1)
O: 0.697 0.696 0.806 (multiplicity 1)
O: 0.698 0.697 0.394 (multiplicity 1)
O: 0.798 0.195 0.504 (multiplicity 1)
O: 0.822 0.181 0.902 (multiplicity 1)
F: 0.190 0.814 0.301 (multiplicity 1)
F: 0.204 0.800 0.902 (multiplicity 1)
F: 0.286 0.305 0.605 (multiplicity 1)
F: 0.789 0.203 0.701 (multiplicity 1)
F: 0.795 0.204 0.102 (multiplicity 1)
F: 0.811 0.193 0.300 (multiplicity 1)

***

What should be chosen as the most stable of them? Choose entry two.

***

Entry one
Material: Li4Mn2P3O12
Method: DFT, GGA+U
State: optimized geometry

**Magnetic moment**: 36.00 Bohr magnetons per cell
**Mass density**: 2.9 g/cm3

abc: 8.904 8.756 15.269
angles: 90.00 124.74 90.00
Space group P2_1/c (No. 14)
Unique sites:
Li: 0.017 0.237 0.318 (multiplicity 4)
Li: 0.237 0.076 0.287 (multiplicity 4)
Li: 0.346 0.558 0.290 (multiplicity 4)
Li: 0.395 0.237 0.178 (multiplicity 4)
Mn: 0.144 0.547 0.395 (multiplicity 4)
Mn: 0.354 0.551 0.105 (multiplicity 4)
P: 0.051 0.106 0.651 (multiplicity 4)
P: 0.252 0.608 0.649 (multiplicity 4)
P: 0.448 0.249 0.000 (multiplicity 4)
O: 0.043 0.236 0.195 (multiplicity 4)
O: 0.064 0.524 0.226 (multiplicity 4)
O: 0.112 0.579 0.962 (multiplicity 4)
O: 0.113 0.590 0.679 (multiplicity 4)
O: 0.166 0.597 0.531 (multiplicity 4)
O: 0.240 0.099 0.664 (multiplicity 4)
O: 0.259 0.172 0.931 (multiplicity 4)
O: 0.342 0.728 0.191 (multiplicity 4)
O: 0.393 0.639 0.428 (multiplicity 4)
O: 0.399 0.020 0.212 (multiplicity 4)
O: 0.447 0.143 0.582 (multiplicity 4)
O: 0.467 0.162 0.418 (multiplicity 4)

***

Entry two
Material: Li4Mn2P3O12
Method: DFT, GGA+U
State: optimized geometry

**Magnetic moment**: 36.00 Bohr magnetons per cell
**Mass density**: 2.9 g/cm3

abc: 8.649 8.888 14.935
angles: 90.00 123.47 90.00
Space group P2_1/c (No. 14)
Unique sites:
Li: 0.023 0.226 0.321 (multiplicity 4)
Li: 0.279 0.526 0.848 (multiplicity 4)
Li: 0.356 0.219 0.231 (multiplicity 4)
Li: 0.382 0.588 0.306 (multiplicity 4)
Mn: 0.138 0.544 0.396 (multiplicity 4)
Mn: 0.342 0.548 0.095 (multiplicity 4)
P: 0.057 0.099 0.661 (multiplicity 4)
P: 0.252 0.613 0.646 (multiplicity 4)
P: 0.447 0.248 0.494 (multiplicity 4)
O: 0.060 0.241 0.202 (multiplicity 4)
O: 0.121 0.524 0.250 (multiplicity 4)
O: 0.125 0.591 0.689 (multiplicity 4)
O: 0.142 0.551 0.929 (multiplicity 4)
O: 0.142 0.612 0.523 (multiplicity 4)
O: 0.203 0.099 0.631 (multiplicity 4)
O: 0.256 0.179 0.942 (multiplicity 4)
O: 0.340 0.724 0.185 (multiplicity 4)
O: 0.395 0.643 0.442 (multiplicity 4)
O: 0.405 0.009 0.199 (multiplicity 4)
O: 0.445 0.172 0.397 (multiplicity 4)
O: 0.479 0.126 0.577 (multiplicity 4)

***

What should be chosen as the most stable of them? Choose entry two.

***

Entry one
Material: LiCr2O4
Method: DFT, GGA+U
State: optimized geometry

**Magnetic moment**: 5.00 Bohr magnetons per cell
**Mass density**: 4.3 g/cm3

abc: 4.733 2.980 4.752
angles: 90.00 91.22 90.00
Space group P2 (No. 3)
Unique sites:
Li: 0.000 0.000 0.000 (multiplicity 1)
Cr: 0.000 0.739 0.500 (multiplicity 1)
Cr: 0.500 0.261 0.000 (multiplicity 1)
O: 0.198 0.248 0.706 (multiplicity 2)
O: 0.302 0.753 0.191 (multiplicity 2)

***

Entry two
Material: LiCr2O4
Method: DFT, GGA+U
State: optimized geometry

**Magnetic moment**: 20.00 Bohr magnetons per cell
**Mass density**: 3.9 g/cm3

abc: 9.992 5.873 5.087
angles: 90.00 90.34 90.00
Space group C2/c (No. 15)
Unique sites:
Li: 0.000 0.141 0.250 (multiplicity 4)
Cr: 0.234 0.376 0.751 (multiplicity 8)
O: 0.145 0.364 0.092 (multiplicity 8)
O: 0.151 0.114 0.571 (multiplicity 8)

***

Entry three
Material: LiCr2O4
Method: DFT, GGA+U
State: optimized geometry

**Magnetic moment**: 20.00 Bohr magnetons per cell
**Mass density**: 4.2 g/cm3

abc: 8.992 2.940 10.363
angles: 90.00 90.00 90.00
Space group Pnma (No. 62)
Unique sites:
Li: 0.242 0.250 0.131 (multiplicity 4)
Cr: 0.060 0.250 0.382 (multiplicity 4)
Cr: 0.086 0.250 0.897 (multiplicity 4)
O: 0.031 0.750 0.782 (multiplicity 4)
O: 0.083 0.250 0.570 (multiplicity 4)
O: 0.119 0.750 0.026 (multiplicity 4)
O: 0.197 0.750 0.345 (multiplicity 4)

***

What should be chosen as the most stable of them? Choose entry three.

***

Entry one
Material: CrWO6
Method: DFT, GGA+U
State: optimized geometry

**Magnetic moment**: 0.00 Bohr magnetons per cell
**Mass density**: 5.0 g/cm3

abc: 5.342 5.347 5.392
angles: 119.52 90.22 119.86
Space group P1 (No. 1)
Unique sites:
Cr: 0.000 0.000 0.000 (multiplicity 1)
W: 0.501 0.006 0.504 (multiplicity 1)
O: 0.260 0.537 0.314 (multiplicity 1)
O: 0.267 0.052 0.831 (multiplicity 1)
O: 0.270 0.064 0.322 (multiplicity 1)
O: 0.777 0.043 0.827 (multiplicity 1)
O: 0.782 0.051 0.315 (multiplicity 1)
O: 0.786 0.565 0.834 (multiplicity 1)

***

Entry two
Material: CrWO6
Method: DFT, GGA+U
State: optimized geometry

**Magnetic moment**: 0.00 Bohr magnetons per cell
**Mass density**: 5.8 g/cm3

abc: 5.051 5.205 8.835
angles: 90.00 124.85 90.00
Space group P2_1/c (No. 14)
Unique sites:
Cr: 0.000 0.000 0.000 (multiplicity 2)
W: 0.500 0.000 0.500 (multiplicity 2)
O: 0.144 0.211 0.452 (multiplicity 4)
O: 0.243 0.697 0.451 (multiplicity 4)
O: 0.338 0.017 0.242 (multiplicity 4)

***

What should be chosen as the most stable of them? Choose entry one.

***

Entry one
Material: MgTi3V5O16
Method: DFT, GGA+U
State: optimized geometry

**Magnetic moment**: 7.01 Bohr magnetons per cell
**Mass density**: 4.0 g/cm3

abc: 5.948 5.963 9.239
angles: 90.03 90.15 119.70
Space group P1 (No. 1)
Unique sites:
Mg: 0.000 0.000 0.000 (multiplicity 1)
Ti: 0.512 0.998 0.184 (multiplicity 1)
Ti: 0.855 0.203 0.664 (multiplicity 1)
Ti: 0.997 0.501 0.184 (multiplicity 1)
V: 0.021 0.997 0.402 (multiplicity 1)
V: 0.330 0.664 0.894 (multiplicity 1)
V: 0.338 0.156 0.680 (multiplicity 1)
V: 0.496 0.499 0.183 (multiplicity 1)
V: 0.811 0.671 0.663 (multiplicity 1)
O: 0.142 0.857 0.548 (multiplicity 1)
O: 0.144 0.281 0.548 (multiplicity 1)
O: 0.182 0.371 0.047 (multiplicity 1)
O: 0.182 0.808 0.048 (multiplicity 1)
O: 0.310 0.146 0.284 (multiplicity 1)
O: 0.325 0.670 0.286 (multiplicity 1)
O: 0.489 0.498 0.774 (multiplicity 1)
O: 0.494 0.002 0.776 (multiplicity 1)
O: 0.628 0.819 0.048 (multiplicity 1)
O: 0.662 0.332 0.567 (multiplicity 1)
O: 0.665 0.323 0.080 (multiplicity 1)
O: 0.717 0.854 0.543 (multiplicity 1)
O: 0.839 0.156 0.283 (multiplicity 1)
O: 0.848 0.674 0.285 (multiplicity 1)
O: 0.993 0.001 0.785 (multiplicity 1)
O: 0.995 0.509 0.773 (multiplicity 1)

***

Entry two
Material: MgTi3V5O16
Method: DFT, GGA+U
State: optimized geometry

**Magnetic moment**: 7.00 Bohr magnetons per cell
**Mass density**: 3.9 g/cm3

abc: 5.957 5.961 9.236
angles: 89.52 88.94 60.55
Space group P1 (No. 1)
Unique sites:
Mg: 0.000 0.000 0.000 (multiplicity 1)
Ti: 0.801 0.852 0.672 (multiplicity 1)
Ti: 0.867 0.323 0.664 (multiplicity 1)
Ti: 0.988 0.510 0.188 (multiplicity 1)
V: 0.016 0.993 0.391 (multiplicity 1)
V: 0.328 0.340 0.894 (multiplicity 1)
V: 0.331 0.804 0.666 (multiplicity 1)
V: 0.498 0.002 0.173 (multiplicity 1)
V: 0.499 0.494 0.173 (multiplicity 1)
O: 0.005 0.494 0.776 (multiplicity 1)
O: 0.150 0.137 0.544 (multiplicity 1)
O: 0.158 0.708 0.549 (multiplicity 1)
O: 0.185 0.626 0.038 (multiplicity 1)
O: 0.186 0.192 0.033 (multiplicity 1)
O: 0.309 0.841 0.282 (multiplicity 1)
O: 0.323 0.334 0.277 (multiplicity 1)
O: 0.486 0.998 0.775 (multiplicity 1)
O: 0.493 0.477 0.778 (multiplicity 1)
O: 0.625 0.187 0.035 (multiplicity 1)
O: 0.673 0.655 0.571 (multiplicity 1)
O: 0.676 0.662 0.074 (multiplicity 1)
O: 0.730 0.124 0.545 (multiplicity 1)
O: 0.847 0.832 0.282 (multiplicity 1)
O: 0.849 0.314 0.280 (multiplicity 1)
O: 0.997 0.995 0.785 (multiplicity 1)

***

What should be chosen as the most stable of them? Choose entry one.